The following is a GGA-PBE calculation of a relaxed Co2H36Pt3N12Cl12 crystal, from Materials Project.

Cell lengths 7.8844, 7.9592, 13.1675 Å; angles 89.10, 84.21, 88.02 degrees
With the nearest neighbours (Å) after each atom.
Positions (direct):
Co: 0.0000 0.0000 0.0000  6 N 1.96-1.99
Co: 0.5000 0.5000 0.5000  6 N 1.98-1.99
H: 0.0238 0.6813 0.0234  1 N 1.03
H: 0.0248 0.8930 0.1783  1 N 1.03
H: 0.0586 0.0967 0.1746  1 N 1.03
H: 0.1278 0.2741 0.0536  1 N 1.03
H: 0.1387 0.9697 0.8177  1 N 1.03
H: 0.1694 0.2547 0.9304  1 N 1.03
H: 0.1978 0.5226 0.5906  1 N 1.03
H: 0.2598 0.3217 0.5812  1 N 1.03
H: 0.2648 0.7189 0.4668  1 N 1.03
H: 0.2703 0.8690 0.0668  1 N 1.03
H: 0.2717 0.8258 0.9454  1 N 1.04
H: 0.2809 0.5812 0.3743  1 N 1.03
H: 0.3253 0.0148 0.9801  1 N 1.03
H: 0.3253 0.4396 0.6709  1 N 1.03
H: 0.3477 0.2591 0.4258  1 N 1.03
H: 0.4190 0.7288 0.3718  1 N 1.03
H: 0.4450 0.7858 0.5881  1 N 1.03
H: 0.4692 0.3472 0.3320  1 N 1.04
H: 0.5308 0.6528 0.6680  1 N 1.04
H: 0.5550 0.2142 0.4119  1 N 1.03
H: 0.5810 0.2712 0.6282  1 N 1.03
H: 0.6523 0.7409 0.5742  1 N 1.03
H: 0.6747 0.5604 0.3291  1 N 1.03
H: 0.6747 0.9852 0.0199  1 N 1.03
H: 0.7191 0.4188 0.6257  1 N 1.03
H: 0.7283 0.1742 0.0546  1 N 1.04
H: 0.7297 0.1310 0.9332  1 N 1.03
H: 0.7352 0.2811 0.5332  1 N 1.03
H: 0.7402 0.6783 0.4188  1 N 1.03
H: 0.8022 0.4774 0.4094  1 N 1.03
H: 0.8306 0.7453 0.0696  1 N 1.03
H: 0.8613 0.0303 0.1823  1 N 1.03
H: 0.8722 0.7259 0.9464  1 N 1.03
H: 0.9414 0.9033 0.8254  1 N 1.03
H: 0.9752 0.1070 0.8217  1 N 1.03
H: 0.9762 0.3187 0.9766  1 N 1.03
Pt: 0.0000 0.0000 0.5000  4 Cl 2.32
Pt: 0.4621 0.5037 0.1619  4 Cl 2.32-2.33, 1 H 2.55
Pt: 0.5379 0.4963 0.8381  4 Cl 2.32-2.33, 1 H 2.55
N: 0.0165 0.9934 0.8505  3 H 1.03
N: 0.0752 0.2359 0.9896  3 H 1.03
N: 0.2413 0.9202 0.9981  3 H 1.03-1.04
N: 0.3004 0.4400 0.5955  3 H 1.03
N: 0.3516 0.6472 0.4206  3 H 1.03
N: 0.4652 0.3109 0.4083  3 H 1.03-1.04
N: 0.5348 0.6891 0.5917  3 H 1.03-1.04
N: 0.6484 0.3528 0.5794  3 H 1.03
N: 0.6996 0.5600 0.4045  3 H 1.03
N: 0.7587 0.0798 0.0019  3 H 1.03-1.04
N: 0.9248 0.7641 0.0104  3 H 1.03
N: 0.9835 0.0066 0.1495  3 H 1.03
Cl: 0.0263 0.2709 0.4334  1 Pt 2.32, 3 H 2.41-2.53
Cl: 0.1794 0.6008 0.1752  1 Pt 2.32, 2 H 2.51-2.59
Cl: 0.2528 0.0203 0.5751  1 Pt 2.32, 2 H 2.38-2.40
Cl: 0.2561 0.5935 0.8457  1 H 2.30, 1 Pt 2.32
Cl: 0.3749 0.2296 0.1496  1 Pt 2.32, 1 H 2.44
Cl: 0.4496 0.2226 0.8205  1 Pt 2.33, 1 H 2.52
Cl: 0.5504 0.7774 0.1795  1 Pt 2.33, 1 H 2.52
Cl: 0.6251 0.7704 0.8504  1 Pt 2.32, 1 H 2.44
Cl: 0.7439 0.4065 0.1543  1 H 2.30, 1 Pt 2.32
Cl: 0.7472 0.9797 0.4249  1 Pt 2.32, 2 H 2.38-2.40
Cl: 0.8206 0.3992 0.8248  1 Pt 2.32, 2 H 2.51-2.59
Cl: 0.9737 0.7291 0.5666  1 Pt 2.32, 3 H 2.41-2.53

Its symmetry is P-1 (2). The formation energy comes out at -616 meV per atom.

The following is a GGA-PBE calculation of a relaxed KCoCl3 crystal, from Materials Project.

Cell lengths 6.8880, 6.8880, 6.8880 Å; angles 60.60, 60.60, 60.60 degrees
With the nearest neighbours (Å) after each atom.
Positions (direct):
K: 0.0000 0.0000 0.0000  9 Cl 3.16-3.54
K: 0.5000 0.5000 0.5000  9 Cl 3.16-3.54
Co: 0.2553 0.2553 0.2553  6 Cl 2.46-2.47
Co: 0.7553 0.7553 0.7553  6 Cl 2.46-2.47
Cl: 0.0057 0.4601 0.5511  2 Co 2.46-2.47
Cl: 0.0511 0.9601 0.5057  2 Co 2.46-2.47
Cl: 0.4601 0.5511 0.0057  2 Co 2.46-2.47
Cl: 0.5057 0.0511 0.9601  2 Co 2.46-2.47
Cl: 0.5511 0.0057 0.4601  2 Co 2.46-2.47
Cl: 0.9601 0.5057 0.0511  2 Co 2.46-2.47

Its symmetry is R3c (161). The formation energy comes out at -1436 meV per atom.

The following is a GGA-PBE calculation of a relaxed CoN3Cl5 crystal, from Materials Project.

Cell lengths 9.3294, 9.4398, 12.6580 Å; angles 90.00, 90.00, 90.00 degrees
With the nearest neighbours (Å) after each atom.
Positions (direct):
Co: 0.1821 0.2500 0.1083  4 Cl 2.14
Co: 0.3179 0.7500 0.6083  4 Cl 2.14
Co: 0.6821 0.2500 0.3917  4 Cl 2.14
Co: 0.8179 0.7500 0.8917  4 Cl 2.14
N: 0.0356 0.2500 0.6034  1 Cl 1.60
N: 0.1105 0.0257 0.8177  8 Cl 3.33-3.71, 1 N 3.51
N: 0.1105 0.4743 0.8177  8 Cl 3.33-3.71, 1 N 3.51
N: 0.3895 0.5257 0.3177  8 Cl 3.33-3.71, 1 N 3.51
N: 0.3895 0.9743 0.3177  8 Cl 3.33-3.71, 1 N 3.51
N: 0.4644 0.7500 0.1034  1 Cl 1.60
N: 0.5356 0.2500 0.8966  1 Cl 1.60
N: 0.6105 0.0257 0.6823  8 Cl 3.33-3.71, 1 N 3.51
N: 0.6105 0.4743 0.6823  8 Cl 3.33-3.71, 1 N 3.51
N: 0.8895 0.5257 0.1823  8 Cl 3.33-3.71, 1 N 3.51
N: 0.8895 0.9743 0.1823  8 Cl 3.33-3.71, 1 N 3.51
N: 0.9644 0.7500 0.3966  1 Cl 1.60
Cl: 0.0121 0.7500 0.9823  1 Co 2.14
Cl: 0.0974 0.7500 0.3173  1 N 1.60
Cl: 0.1378 0.2500 0.2741  1 Co 2.14
Cl: 0.1952 0.5643 0.5714  1 Co 2.14
Cl: 0.1952 0.9357 0.5714  1 Co 2.14
Cl: 0.3048 0.0643 0.0714  1 Co 2.14
Cl: 0.3048 0.4357 0.0714  1 Co 2.14
Cl: 0.3622 0.7500 0.7741  1 Co 2.14
Cl: 0.4026 0.2500 0.8173  1 N 1.60
Cl: 0.4879 0.2500 0.4823  1 Co 2.14
Cl: 0.5121 0.7500 0.5177  1 Co 2.14
Cl: 0.5974 0.7500 0.1827  1 N 1.60
Cl: 0.6378 0.2500 0.2259  1 Co 2.14
Cl: 0.6952 0.5643 0.9286  1 Co 2.14
Cl: 0.6952 0.9357 0.9286  1 Co 2.14
Cl: 0.8048 0.0643 0.4286  1 Co 2.14
Cl: 0.8048 0.4357 0.4286  1 Co 2.14
Cl: 0.8622 0.7500 0.7259  1 Co 2.14
Cl: 0.9026 0.2500 0.6827  1 N 1.60
Cl: 0.9879 0.2500 0.0177  1 Co 2.14

Its symmetry is Pnma (62). The formation energy comes out at 1003 meV per atom.

The following is a GGA-PBE calculation of a relaxed CoSnN6Cl5 crystal, from Materials Project.

Cell lengths 8.2901, 23.7182, 8.8587 Å; angles 90.00, 98.75, 90.00 degrees
With the nearest neighbours (Å) after each atom.
Positions (direct):
Co: 0.0722 0.0938 0.3474  3 N 1.61-1.66
Co: 0.0722 0.4062 0.8474  3 N 1.61-1.66
Co: 0.9278 0.5938 0.1526  3 N 1.61-1.66
Co: 0.9278 0.9062 0.6526  3 N 1.61-1.66
Sn: 0.3431 0.6061 0.6874  4 Cl 2.31-2.32
Sn: 0.3431 0.8939 0.1874  4 Cl 2.31-2.32
Sn: 0.6569 0.1061 0.8126  4 Cl 2.31-2.32
Sn: 0.6569 0.3939 0.3126  4 Cl 2.31-2.32
N: 0.0268 0.1577 0.2984  1 Co 1.61
N: 0.0268 0.3423 0.7984  1 Co 1.61
N: 0.0753 0.5497 0.1928  1 Co 1.61
N: 0.0753 0.9503 0.6928  1 Co 1.61
N: 0.1153 0.0959 0.5596  1 Cl 1.64
N: 0.1153 0.4041 0.0596  1 Cl 1.64
N: 0.2388 0.0722 0.2825  1 Co 1.66
N: 0.2388 0.4278 0.7825  1 Co 1.66
N: 0.3410 0.1815 0.1435  1 N 1.11
N: 0.3410 0.3185 0.6435  1 N 1.11
N: 0.3883 0.2000 0.2572  1 N 1.11
N: 0.3883 0.3000 0.7572  1 N 1.11
N: 0.6117 0.7000 0.2428  1 N 1.11
N: 0.6117 0.8000 0.7428  1 N 1.11
N: 0.6590 0.6815 0.3565  1 N 1.11
N: 0.6590 0.8185 0.8565  1 N 1.11
N: 0.7612 0.5722 0.2175  1 Co 1.66
N: 0.7612 0.9278 0.7175  1 Co 1.66
N: 0.8847 0.5959 0.9404  1 Cl 1.64
N: 0.8847 0.9041 0.4404  1 Cl 1.64
N: 0.9247 0.0497 0.3072  1 Co 1.61
N: 0.9247 0.4503 0.8072  1 Co 1.61
N: 0.9732 0.6577 0.2016  1 Co 1.61
N: 0.9732 0.8423 0.7016  1 Co 1.61
Cl: 0.0973 0.5611 0.6077  1 Sn 2.31
Cl: 0.0973 0.9389 0.1077  1 Sn 2.31
Cl: 0.1934 0.1545 0.6364  1 N 1.64
Cl: 0.1934 0.3455 0.1364  1 N 1.64
Cl: 0.3408 0.6921 0.5632  1 Sn 2.32
Cl: 0.3408 0.8079 0.0632  1 Sn 2.32
Cl: 0.3670 0.6213 0.9484  1 Sn 2.32
Cl: 0.3670 0.8787 0.4484  1 Sn 2.32
Cl: 0.4382 0.0530 0.8646  1 Sn 2.31
Cl: 0.4382 0.4470 0.3646  1 Sn 2.31
Cl: 0.5618 0.5530 0.6354  1 Sn 2.31
Cl: 0.5618 0.9470 0.1354  1 Sn 2.31
Cl: 0.6330 0.1213 0.5516  1 Sn 2.32
Cl: 0.6330 0.3787 0.0516  1 Sn 2.32
Cl: 0.6592 0.1921 0.9368  1 Sn 2.32
Cl: 0.6592 0.3079 0.4368  1 Sn 2.32
Cl: 0.8066 0.6545 0.8636  1 N 1.64
Cl: 0.8066 0.8455 0.3636  1 N 1.64
Cl: 0.9027 0.0611 0.8923  1 Sn 2.31
Cl: 0.9027 0.4389 0.3923  1 Sn 2.31

Its symmetry is P2_1/c (14). The formation energy comes out at 339 meV per atom.

The following is a GGA-PBE calculation of a relaxed TlCoN6Cl6 crystal, from Materials Project.

Cell lengths 10.9354, 10.9354, 10.9354 Å; angles 90.00, 90.00, 90.00 degrees
With the nearest neighbours (Å) after each atom.
Positions (direct):
Tl: 0.0000 0.0000 0.0000  6 Cl 3.81, 6 N 4.12
Tl: 0.0000 0.5000 0.5000  6 Cl 3.81, 6 N 4.12
Tl: 0.5000 0.0000 0.5000  6 Cl 3.81, 6 N 4.12
Tl: 0.5000 0.5000 0.0000  6 Cl 3.81, 6 N 4.12
Co: 0.0000 0.0000 0.5000  6 N 1.93
Co: 0.0000 0.5000 0.0000  6 N 1.93
Co: 0.5000 0.0000 0.0000  6 N 1.93
Co: 0.5000 0.5000 0.5000  6 N 1.93
N: 0.0680 0.0845 0.6392  1 Cl 1.66
N: 0.0680 0.4155 0.1392  1 Cl 1.66
N: 0.0845 0.6392 0.0680  1 Cl 1.66
N: 0.0845 0.8608 0.5680  1 Cl 1.66
N: 0.1392 0.0680 0.4155  1 Cl 1.66
N: 0.1392 0.4320 0.9155  1 Cl 1.66
N: 0.3608 0.5680 0.4155  1 Cl 1.66
N: 0.3608 0.9320 0.9155  1 Cl 1.66
N: 0.4155 0.1392 0.0680  1 Cl 1.66
N: 0.4155 0.3608 0.5680  1 Cl 1.66
N: 0.4320 0.5845 0.6392  1 Cl 1.66
N: 0.4320 0.9155 0.1392  1 Cl 1.66
N: 0.5680 0.0845 0.8608  1 Cl 1.66
N: 0.5680 0.4155 0.3608  1 Cl 1.66
N: 0.5845 0.6392 0.4320  1 Cl 1.66
N: 0.5845 0.8608 0.9320  1 Cl 1.66
N: 0.6392 0.0680 0.0845  1 Cl 1.66
N: 0.6392 0.4320 0.5845  1 Cl 1.66
N: 0.8608 0.5680 0.0845  1 Cl 1.66
N: 0.8608 0.9320 0.5845  1 Cl 1.66
N: 0.9155 0.1392 0.4320  1 Cl 1.66
N: 0.9155 0.3608 0.9320  1 Cl 1.66
N: 0.9320 0.5845 0.8608  1 Cl 1.66
N: 0.9320 0.9155 0.3608  1 Cl 1.66
Cl: 0.0775 0.6818 0.2136  1 N 1.66
Cl: 0.0775 0.8182 0.7136  1 N 1.66
Cl: 0.1818 0.2136 0.4225  1 N 1.66
Cl: 0.1818 0.2864 0.9225  1 N 1.66
Cl: 0.2136 0.0775 0.6818  1 N 1.66
Cl: 0.2136 0.4225 0.1818  1 N 1.66
Cl: 0.2864 0.5775 0.6818  1 N 1.66
Cl: 0.2864 0.9225 0.1818  1 N 1.66
Cl: 0.3182 0.7136 0.4225  1 N 1.66
Cl: 0.3182 0.7864 0.9225  1 N 1.66
Cl: 0.4225 0.1818 0.2136  1 N 1.66
Cl: 0.4225 0.3182 0.7136  1 N 1.66
Cl: 0.5775 0.6818 0.2864  1 N 1.66
Cl: 0.5775 0.8182 0.7864  1 N 1.66
Cl: 0.6818 0.2136 0.0775  1 N 1.66
Cl: 0.6818 0.2864 0.5775  1 N 1.66
Cl: 0.7136 0.0775 0.8182  1 N 1.66
Cl: 0.7136 0.4225 0.3182  1 N 1.66
Cl: 0.7864 0.5775 0.8182  1 N 1.66
Cl: 0.7864 0.9225 0.3182  1 N 1.66
Cl: 0.8182 0.7136 0.0775  1 N 1.66
Cl: 0.8182 0.7864 0.5775  1 N 1.66
Cl: 0.9225 0.1818 0.2864  1 N 1.66
Cl: 0.9225 0.3182 0.7864  1 N 1.66

Its symmetry is Pa-3 (205). The value obtained for the polymorph energy (0 for the lowest one) is 63 meV/atom. The formation energy comes out at 771 meV per atom.

The following is a GGA-PBE calculation of a relaxed TlCoN6Cl6 crystal, from Materials Project.

Cell lengths 10.6512, 10.8958, 11.0175 Å; angles 89.90, 89.90, 89.95 degrees
With the nearest neighbours (Å) after each atom.
Positions (direct):
Tl: 0.0000 0.0000 0.0000  4 Cl 3.27-3.62, 1 N 3.65
Tl: 0.0335 0.4626 0.5246  3 Cl 3.11-3.42, 2 N 3.28-3.47
Tl: 0.5003 0.9442 0.5003  1 N 3.13, 3 Cl 3.16-3.30
Tl: 0.5478 0.4781 0.9412  3 Cl 3.17-3.49, 1 N 3.29
Co: 0.0137 0.0020 0.4841  3 N 1.78-1.88
Co: 0.0186 0.5097 0.9703  3 N 1.77-1.88
Co: 0.4923 0.9985 0.9722  3 N 1.74-1.93
Co: 0.5194 0.5110 0.4704  4 N 1.78-1.99
N: 0.0397 0.0768 0.3200  1 Cl 1.68
N: 0.0497 0.4336 0.8204  1 Cl 1.70, 1 Co 1.88
N: 0.0597 0.6622 0.9191  1 Cl 1.66, 1 Co 1.81
N: 0.0877 0.8424 0.4225  1 Cl 1.64
N: 0.1486 0.4498 0.0512  1 Cl 1.66, 1 Co 1.77
N: 0.1693 0.0465 0.5239  1 Cl 1.66, 1 Co 1.78
N: 0.3481 0.9627 0.0371  1 Cl 1.68, 1 Co 1.74
N: 0.3494 0.5382 0.5403  1 Cl 1.68
N: 0.4165 0.3577 0.4157  1 Cl 1.66
N: 0.4362 0.1622 0.9202  1 Cl 1.65
N: 0.4557 0.5854 0.3114  1 Cl 1.63
N: 0.4687 0.9251 0.8184  1 Cl 1.69, 1 Co 1.89
N: 0.5479 0.4283 0.6167  1 Cl 1.69, 1 Co 1.87
N: 0.5580 0.0808 0.1201  1 Cl 1.64
N: 0.5590 0.6630 0.5177  1 Cl 1.68, 1 Co 1.79
N: 0.5864 0.8518 0.0101  1 Cl 1.67
N: 0.6488 0.4462 0.3904  1 Cl 1.65, 1 Co 1.78
N: 0.6609 0.0481 0.8975  1 Cl 1.67
N: 0.8470 0.5409 0.9002  1 Cl 1.68
N: 0.8555 0.9528 0.3900  1 Cl 1.68
N: 0.9148 0.3617 0.0194  1 Cl 1.68
N: 0.9363 0.1540 0.5167  1 Cl 1.69, 1 Co 1.88
N: 0.9464 0.9204 0.6100  1 Cl 1.65, 1 Co 1.80
N: 0.9538 0.5873 0.1274  1 Cl 1.63
Cl: 0.0544 0.7703 0.2964  1 N 1.64
Cl: 0.0569 0.7144 0.7780  1 N 1.66
Cl: 0.1729 0.0525 0.2418  1 N 1.68
Cl: 0.1956 0.4428 0.7585  1 N 1.70
Cl: 0.2271 0.1881 0.5237  1 N 1.66
Cl: 0.2324 0.3253 0.0213  1 N 1.66
Cl: 0.2735 0.6714 0.5179  1 N 1.68
Cl: 0.2753 0.8263 0.0265  1 N 1.68
Cl: 0.3273 0.9367 0.7492  1 N 1.69
Cl: 0.3278 0.5473 0.2395  1 N 1.63
Cl: 0.4493 0.2184 0.7820  1 N 1.65
Cl: 0.4572 0.2612 0.3064  1 N 1.66
Cl: 0.5496 0.7659 0.1312  1 N 1.67
Cl: 0.5626 0.7127 0.6623  1 N 1.68
Cl: 0.6820 0.0410 0.1983  1 N 1.64
Cl: 0.6872 0.4447 0.6889  1 N 1.69
Cl: 0.7283 0.1839 0.9232  1 N 1.67
Cl: 0.7320 0.3223 0.4227  1 N 1.65
Cl: 0.7704 0.8276 0.4226  1 N 1.68
Cl: 0.7740 0.6756 0.9222  1 N 1.68
Cl: 0.8248 0.9568 0.6964  1 N 1.65
Cl: 0.8287 0.5471 0.2036  1 N 1.63
Cl: 0.9522 0.2184 0.6557  1 N 1.69
Cl: 0.9549 0.2651 0.1315  1 N 1.68

Its symmetry is P1 (1). The value obtained for the polymorph energy (0 for the lowest one) is 0 meV/atom. The formation energy comes out at 707 meV per atom.

The following is a GGA-PBE calculation of a relaxed Na2CoCl4 crystal, from Materials Project.

Cell lengths 13.8702, 8.2296, 6.4288 Å; angles 90.00, 90.00, 90.00 degrees
With the nearest neighbours (Å) after each atom.
Positions (direct):
Na: 0.0000 0.0000 0.0000  6 Cl 2.81-2.89
Na: 0.0000 0.5000 0.0000  6 Cl 2.81-2.89
Na: 0.2286 0.2500 0.4829  6 Cl 2.83-2.92
Na: 0.2714 0.7500 0.9829  6 Cl 2.83-2.92
Na: 0.5000 0.0000 0.5000  6 Cl 2.81-2.89
Na: 0.5000 0.5000 0.5000  6 Cl 2.81-2.89
Na: 0.7286 0.2500 0.0171  6 Cl 2.83-2.92
Na: 0.7714 0.7500 0.5171  6 Cl 2.83-2.92
Co: 0.0910 0.7500 0.4031  4 Cl 2.25-2.28
Co: 0.4090 0.2500 0.9031  4 Cl 2.25-2.28
Co: 0.5910 0.7500 0.0969  4 Cl 2.25-2.28
Co: 0.9090 0.2500 0.5969  4 Cl 2.25-2.28
Cl: 0.0609 0.2500 0.7333  1 Co 2.28
Cl: 0.0915 0.7500 0.7531  1 Co 2.25
Cl: 0.1651 0.5316 0.2570  1 Co 2.27
Cl: 0.1651 0.9684 0.2570  1 Co 2.27
Cl: 0.3349 0.0316 0.7570  1 Co 2.27
Cl: 0.3349 0.4684 0.7570  1 Co 2.27
Cl: 0.4085 0.2500 0.2531  1 Co 2.25
Cl: 0.4391 0.7500 0.2333  1 Co 2.28
Cl: 0.5609 0.2500 0.7667  1 Co 2.28
Cl: 0.5915 0.7500 0.7469  1 Co 2.25
Cl: 0.6651 0.5316 0.2430  1 Co 2.27
Cl: 0.6651 0.9684 0.2430  1 Co 2.27
Cl: 0.8349 0.0316 0.7430  1 Co 2.27
Cl: 0.8349 0.4684 0.7430  1 Co 2.27
Cl: 0.9085 0.2500 0.2469  1 Co 2.25
Cl: 0.9391 0.7500 0.2667  1 Co 2.28

Its symmetry is Pnma (62). The formation energy comes out at -1651 meV per atom.

The following is a GGA-PBE calculation of a relaxed Rb2CoCl4 crystal, from Materials Project.

Cell lengths 9.3806, 12.9329, 7.3871 Å; angles 90.00, 90.00, 90.00 degrees
With the nearest neighbours (Å) after each atom.
Positions (direct):
Rb: 0.0111 0.1784 0.0000  7 Cl 3.35-3.47
Rb: 0.1304 0.4091 0.5010  6 Cl 3.32-3.71
Rb: 0.3696 0.9091 0.0010  6 Cl 3.32-3.71
Rb: 0.4889 0.6784 0.5000  7 Cl 3.35-3.47
Rb: 0.5111 0.3216 0.0000  7 Cl 3.35-3.47
Rb: 0.6304 0.0909 0.5010  6 Cl 3.32-3.71
Rb: 0.8696 0.5909 0.0010  6 Cl 3.32-3.71
Rb: 0.9889 0.8216 0.5000  7 Cl 3.35-3.47
Co: 0.2235 0.0783 0.5004  4 Cl 2.25-2.27
Co: 0.2765 0.5783 0.0004  4 Cl 2.25-2.27
Co: 0.7235 0.4217 0.5004  4 Cl 2.25-2.27
Co: 0.7765 0.9217 0.0004  4 Cl 2.25-2.27
Cl: 0.0160 0.9193 0.0058  1 Co 2.25
Cl: 0.1774 0.4184 0.0047  1 Co 2.27
Cl: 0.1873 0.6544 0.7504  1 Co 2.25
Cl: 0.1929 0.6648 0.2427  1 Co 2.25
Cl: 0.3071 0.1648 0.7427  1 Co 2.25
Cl: 0.3127 0.1544 0.2504  1 Co 2.25
Cl: 0.3226 0.9184 0.5047  1 Co 2.27
Cl: 0.4840 0.4193 0.5058  1 Co 2.25
Cl: 0.5160 0.5807 0.0058  1 Co 2.25
Cl: 0.6774 0.0816 0.0047  1 Co 2.27
Cl: 0.6873 0.8456 0.7504  1 Co 2.25
Cl: 0.6929 0.8352 0.2427  1 Co 2.25
Cl: 0.8071 0.3352 0.7427  1 Co 2.25
Cl: 0.8127 0.3456 0.2504  1 Co 2.25
Cl: 0.8226 0.5816 0.5047  1 Co 2.27
Cl: 0.9840 0.0807 0.5058  1 Co 2.25

Its symmetry is Pna2_1 (33). The formation energy comes out at -1767 meV per atom. As for the piezoelectric modulus e_max: 0.7 C/m².

| no. | total energy (eV/atom) |
| --- | --- |
| 1 | -4.761 |
| 2 | -3.821 |
| 3 | -3.251 |
| 4 | -4.839 |
| 5 | -4.007 |
| 6 | -4.071 |
| 7 | -3.750 |
| 8 | -3.768 |